[1]
VASP calculation (PBE-GGA) on a relaxed structure of MoW3Se4S4.

Results
Calculated formation energy, eV per atom: -0.853
Final energy, eV/atom: -7.37
E above lowest polymorph, meV/atom: 18
Corrected total energy (MP2020 scheme), eV per atom: -7.54

Cell and atoms, written as CIF:
```
data_MoW3Se4S4
_chemical_formula_sum 'Mo1 W3 Se4 S4'
_cell_length_a 3.2581
_cell_length_b 3.2581
_cell_length_c 36.9200
_cell_angle_alpha 90.00
_cell_angle_beta 90.00
_cell_angle_gamma 120.00
_space_group_name_H-M_alt 'P 3 m 1'
_space_group_IT_number 156
loop_
_space_group_symop_operation_xyz
'x,y,z'
'-y,x-y,z'
'-x+y,-x,z'
'-y,-x,z'
'-x+y,y,z'
'x,x-y,z'
loop_
_atom_site_label
_atom_site_type_symbol
_atom_site_fract_x
_atom_site_fract_y
_atom_site_fract_z
Mo1 Mo 0.0000 0.0000 0.0000
W1 W 0.0000 0.0000 0.6242
W2 W 0.3333 0.6667 0.1879
W3 W 0.3333 0.6667 0.8121
Se1 Se 0.0000 0.0000 0.1416
Se2 Se 0.0000 0.0000 0.2342
Se3 Se 0.0000 0.0000 0.7659
Se4 Se 0.0000 0.0000 0.8584
S1 S 0.3333 0.6667 0.0417
S2 S 0.3333 0.6667 0.5822
S3 S 0.3333 0.6667 0.6662
S4 S 0.3333 0.6667 0.9583
```

[2]
VASP calculation (PBE-GGA) on a relaxed structure of MoWSe2S2.

Results
Calculated formation energy, eV per atom: -0.865
Final energy, eV/atom: -7.21
E above lowest polymorph, meV/atom: 34
Corrected total energy (MP2020 scheme), eV per atom: -7.38

Cell and atoms, written as CIF:
```
data_MoWSe2S2
_chemical_formula_sum 'Mo2 W2 Se4 S4'
_cell_length_a 3.2541
_cell_length_b 3.2541
_cell_length_c 36.9560
_cell_angle_alpha 90.00
_cell_angle_beta 90.00
_cell_angle_gamma 120.00
_space_group_name_H-M_alt 'P -3 m 1'
_space_group_IT_number 164
_space_group_name_Hall '-P 3 2"'
loop_
_atom_site_label
_atom_site_type_symbol
_atom_site_fract_x
_atom_site_fract_y
_atom_site_fract_z
Mo1 Mo 0.3333 0.6667 0.2182
W1 W 0.3333 0.6667 0.5940
Se1 Se 0.3333 0.6667 0.3598
Se2 Se 0.3333 0.6667 0.4523
S1 S 0.3333 0.6667 0.7400
S2 S 0.3333 0.6667 0.8236
```

[3]
VASP calculation (PBE-GGA) on a relaxed structure of MoWSe3S.

Results
Calculated formation energy, eV per atom: -0.753
Final energy, eV/atom: -7.07
E above lowest polymorph, meV/atom: 0
Corrected total energy (MP2020 scheme), eV per atom: -7.16

Cell and atoms, written as CIF:
```
data_MoWSe3S
_chemical_formula_sum 'Mo2 W2 Se6 S2'
_cell_length_a 3.2865
_cell_length_b 3.2865
_cell_length_c 37.3572
_cell_angle_alpha 90.00
_cell_angle_beta 90.00
_cell_angle_gamma 120.00
_space_group_name_H-M_alt 'P 3 m 1'
_space_group_IT_number 156
loop_
_space_group_symop_operation_xyz
'x,y,z'
'-y,x-y,z'
'-x+y,-x,z'
'-y,-x,z'
'-x+y,y,z'
'x,x-y,z'
loop_
_atom_site_label
_atom_site_type_symbol
_atom_site_fract_x
_atom_site_fract_y
_atom_site_fract_z
Mo1 Mo 0.0000 0.0000 0.0000
Mo2 Mo 0.3333 0.6667 0.8121
W1 W 0.0000 0.0000 0.6243
W2 W 0.3333 0.6667 0.1879
Se1 Se 0.0000 0.0000 0.1424
Se2 Se 0.0000 0.0000 0.2333
Se3 Se 0.0000 0.0000 0.7670
Se4 Se 0.0000 0.0000 0.8573
Se5 Se 0.3333 0.6667 0.0451
Se6 Se 0.3333 0.6667 0.9548
S1 S 0.3333 0.6667 0.5830
S2 S 0.3333 0.6667 0.6655
```

[4]
VASP calculation (PBE-GGA) on a relaxed structure of MoWSe2S2.

Results
Calculated formation energy, eV per atom: -0.899
Final energy, eV/atom: -7.24
E above lowest polymorph, meV/atom: 1
Corrected total energy (MP2020 scheme), eV per atom: -7.41

Cell and atoms, written as CIF:
```
data_MoWSe2S2
_chemical_formula_sum 'Mo2 W2 Se4 S4'
_cell_length_a 3.2558
_cell_length_b 3.2558
_cell_length_c 36.3569
_cell_angle_alpha 90.00
_cell_angle_beta 90.00
_cell_angle_gamma 120.00
_space_group_name_H-M_alt 'P 3 m 1'
_space_group_IT_number 156
loop_
_space_group_symop_operation_xyz
'x,y,z'
'-y,x-y,z'
'-x+y,-x,z'
'-y,-x,z'
'-x+y,y,z'
'x,x-y,z'
loop_
_atom_site_label
_atom_site_type_symbol
_atom_site_fract_x
_atom_site_fract_y
_atom_site_fract_z
Mo1 Mo 0.0000 0.0000 0.0000
Mo2 Mo 0.0000 0.0000 0.3758
W1 W 0.3333 0.6667 0.1879
W2 W 0.3333 0.6667 0.5636
Se1 Se 0.3333 0.6667 0.0468
Se2 Se 0.3333 0.6667 0.3290
Se3 Se 0.3333 0.6667 0.4225
Se4 Se 0.3333 0.6667 0.9532
S1 S 0.0000 0.0000 0.1452
S2 S 0.0000 0.0000 0.2306
S3 S 0.0000 0.0000 0.5209
S4 S 0.0000 0.0000 0.6063
```

[5]
VASP calculation (PBE-GGA) on a relaxed structure of MoWSe2S2.

Results
Calculated formation energy, eV per atom: -0.882
Final energy, eV/atom: -7.23
E above lowest polymorph, meV/atom: 17
Corrected total energy (MP2020 scheme), eV per atom: -7.39

Cell and atoms, written as CIF:
```
data_MoWSe2S2
_chemical_formula_sum 'Mo2 W2 Se4 S4'
_cell_length_a 3.2539
_cell_length_b 3.2539
_cell_length_c 36.8982
_cell_angle_alpha 90.00
_cell_angle_beta 90.00
_cell_angle_gamma 120.00
_space_group_name_H-M_alt 'P 3 m 1'
_space_group_IT_number 156
loop_
_space_group_symop_operation_xyz
'x,y,z'
'-y,x-y,z'
'-x+y,-x,z'
'-y,-x,z'
'-x+y,y,z'
'x,x-y,z'
loop_
_atom_site_label
_atom_site_type_symbol
_atom_site_fract_x
_atom_site_fract_y
_atom_site_fract_z
Mo1 Mo 0.0000 0.0000 0.0000
Mo2 Mo 0.3333 0.6667 0.1879
W1 W 0.0000 0.0000 0.3758
W2 W 0.3333 0.6667 0.5636
Se1 Se 0.0000 0.0000 0.1419
Se2 Se 0.0000 0.0000 0.2338
Se3 Se 0.3333 0.6667 0.3294
Se4 Se 0.3333 0.6667 0.4221
S1 S 0.0000 0.0000 0.5216
S2 S 0.0000 0.0000 0.6056
S3 S 0.3333 0.6667 0.0419
S4 S 0.3333 0.6667 0.9581
```

[6]
VASP calculation (PBE-GGA) on a relaxed structure of MoW3Se6S2.

Results
Calculated formation energy, eV per atom: -0.724
Final energy, eV/atom: -7.22
E above lowest polymorph, meV/atom: 0
Corrected total energy (MP2020 scheme), eV per atom: -7.31

Cell and atoms, written as CIF:
```
data_MoW3Se6S2
_chemical_formula_sum 'Mo1 W3 Se6 S2'
_cell_length_a 3.2867
_cell_length_b 3.2867
_cell_length_c 37.3892
_cell_angle_alpha 90.00
_cell_angle_beta 90.00
_cell_angle_gamma 120.00
_space_group_name_H-M_alt 'P 3 m 1'
_space_group_IT_number 156
loop_
_space_group_symop_operation_xyz
'x,y,z'
'-y,x-y,z'
'-x+y,-x,z'
'-y,-x,z'
'-x+y,y,z'
'x,x-y,z'
loop_
_atom_site_label
_atom_site_type_symbol
_atom_site_fract_x
_atom_site_fract_y
_atom_site_fract_z
Mo1 Mo 0.0000 0.0000 0.0000
W1 W 0.0000 0.0000 0.3758
W2 W 0.3333 0.6667 0.1879
W3 W 0.3333 0.6667 0.5636
Se1 Se 0.0000 0.0000 0.1425
Se2 Se 0.0000 0.0000 0.2333
Se3 Se 0.0000 0.0000 0.5182
Se4 Se 0.0000 0.0000 0.6090
Se5 Se 0.3333 0.6667 0.0451
Se6 Se 0.3333 0.6667 0.9549
S1 S 0.3333 0.6667 0.3345
S2 S 0.3333 0.6667 0.4170
```

[7]
VASP calculation (PBE-GGA) on a relaxed structure of Mo2WSe4S2.

Results
Calculated formation energy, eV per atom: -0.799
Final energy, eV/atom: -7.01
E above lowest polymorph, meV/atom: 22
Corrected total energy (MP2020 scheme), eV per atom: -7.12

Cell and atoms, written as CIF:
```
data_Mo2WSe4S2
_chemical_formula_sum 'Mo2 W1 Se4 S2'
_cell_length_a 3.2786
_cell_length_b 3.2786
_cell_length_c 30.1731
_cell_angle_alpha 90.00
_cell_angle_beta 90.00
_cell_angle_gamma 120.00
_space_group_name_H-M_alt 'P 3 m 1'
_space_group_IT_number 156
loop_
_space_group_symop_operation_xyz
'x,y,z'
'-y,x-y,z'
'-x+y,-x,z'
'-y,-x,z'
'-x+y,y,z'
'x,x-y,z'
loop_
_atom_site_label
_atom_site_type_symbol
_atom_site_fract_x
_atom_site_fract_y
_atom_site_fract_z
Mo1 Mo 0.0000 0.0000 0.0000
Mo2 Mo 0.3333 0.6667 0.2314
W1 W 0.0000 0.0000 0.4627
Se1 Se 0.3333 0.6667 0.0560
Se2 Se 0.3333 0.6667 0.4064
Se3 Se 0.3333 0.6667 0.5190
Se4 Se 0.3333 0.6667 0.9441
S1 S 0.0000 0.0000 0.1804
S2 S 0.0000 0.0000 0.2822
```

[8]
VASP calculation (PBE-GGA) on a relaxed structure of MoWSe2S2.

Results
Calculated formation energy, eV per atom: -0.899
Final energy, eV/atom: -7.24
E above lowest polymorph, meV/atom: 0
Corrected total energy (MP2020 scheme), eV per atom: -7.41

Cell and atoms, written as CIF:
```
data_MoWSe2S2
_chemical_formula_sum 'Mo2 W2 Se4 S4'
_cell_length_a 3.2516
_cell_length_b 3.2516
_cell_length_c 36.9012
_cell_angle_alpha 90.00
_cell_angle_beta 90.00
_cell_angle_gamma 120.00
_space_group_name_H-M_alt 'P -3 m 1'
_space_group_IT_number 164
_space_group_name_Hall '-P 3 2"'
loop_
_atom_site_label
_atom_site_type_symbol
_atom_site_fract_x
_atom_site_fract_y
_atom_site_fract_z
Mo1 Mo 0.3333 0.6667 0.0939
W1 W 0.3333 0.6667 0.7182
Se1 Se 0.3333 0.6667 0.8600
Se2 Se 0.3333 0.6667 0.9521
S1 S 0.3333 0.6667 0.2397
S2 S 0.3333 0.6667 0.3239
```